1.
VASP calculation (GGA-PBE) on crystalline TeMoWSe3 at its relaxed geometry.

a = 3.3835 Å, b = 3.3835 Å, c = 38.4744 Å
α = 90.00°, β = 90.00°, γ = 120.00°
Space group P3m1 (No. 156)
Asymmetric unit:
Te 0.0000 0.0000 0.0000
Te 0.0000 0.0000 0.0982
Mo 0.0000 0.0000 0.4855
Mo 0.3333 0.6667 0.6734
W 0.0000 0.0000 0.8612
W 0.3333 0.6667 0.0491
Se 0.0000 0.0000 0.6303
Se 0.0000 0.0000 0.7164
Se 0.3333 0.6667 0.4425
Se 0.3333 0.6667 0.5285
Se 0.3333 0.6667 0.8181
Se 0.3333 0.6667 0.9044

Values from the calculation:
The total energy comes out at -6.713 eV per atom. The value obtained for the formation energy is -68 kJ/mol of atoms. The value obtained for the energy above the lowest structure with this stoichiometry is 0.123 eV per formula unit. As for the calculated volume: 31.8 A^3/atom.



2.
VASP calculation (GGA-PBE) on crystalline Te3MoWSe at its relaxed geometry.

a = 3.5003 Å, b = 3.5003 Å, c = 39.5992 Å
α = 90.00°, β = 90.00°, γ = 120.00°
Space group P3m1 (No. 156)
Asymmetric unit:
Te 0.0000 0.0000 0.0000
Te 0.0000 0.0000 0.0924
Te 0.0000 0.0000 0.6240
Te 0.0000 0.0000 0.7170
Te 0.6667 0.3333 0.1876
Te 0.6667 0.3333 0.2806
Mo 0.0000 0.0000 0.8584
Mo 0.6667 0.3333 0.0462
W 0.0000 0.0000 0.2341
W 0.6667 0.3333 0.6705
Se 0.6667 0.3333 0.8175
Se 0.6667 0.3333 0.8992

Values from the calculation:
The total energy comes out at -6.378 eV per atom. The value obtained for the formation energy is -32 kJ/mol of atoms. The value obtained for the energy above the lowest structure with this stoichiometry is 0.116 eV per formula unit. As for the calculated volume: 35.0 A^3/atom.